(1)
42
Lattice="3.575 -4.705 2.300 5.578 1.465 2.637 -6.674 1.408 13.921" Properties=species:S:1:pos:R:3 comment="PBE ZnAg2O4, optimized geometry" density_g_cm3=6.27 vol_a3_per_atom=13.055 sg="No. 8" e_form_mev_per_atom=-646 pbc="T T T"
O 5.391 -1.995 4.505
O 0.413 1.265 10.121
O -0.582 -0.527 13.139
O 3.040 -1.303 5.794
Ag 5.600 -2.260 8.104
O 0.945 -0.418 2.038
O 2.064 -3.094 8.750
O -1.522 0.304 3.479
O 1.528 -2.754 14.212
O 4.737 -2.087 10.071
Zn 3.190 -1.765 13.391
O 2.931 -2.609 3.296
O -0.730 -2.255 9.929
O 0.099 -0.439 7.467
O 0.972 0.894 4.619
O 1.635 -1.440 16.674
Ag 3.730 -3.235 5.123
O 0.116 -1.743 4.476
O -0.374 0.857 15.631
Zn -0.710 -0.068 5.476
Ag -1.254 1.386 13.738
O 3.205 0.419 8.942
Ag 3.027 -3.268 10.583
O -1.304 -2.007 15.475
O 3.797 0.059 3.441
Ag -2.266 -1.732 13.568
Ag -2.097 -0.212 16.377
Ag 4.027 -0.185 10.751
Zn -4.971 0.845 14.104
Zn 0.558 -0.991 14.853
Ag 7.391 -2.658 4.751
O 4.047 -2.150 15.350
Ag 0.339 -0.714 11.075
Ag -3.135 0.431 10.763
Zn -3.335 0.703 6.963
Ag 4.752 -0.086 5.295
O 2.397 -0.077 14.358
O -2.248 0.250 8.795
Zn 1.913 -0.839 4.000
O 2.380 -1.394 11.395
Ag 2.146 -1.120 7.773
O -3.094 0.221 14.367

***

(2)
28
Lattice="3.111 0.000 0.000 0.000 9.744 0.000 0.000 0.000 11.014" Properties=species:S:1:pos:R:3 comment="PBE ZnAg2O4, optimized geometry" density_g_cm3=6.87 vol_a3_per_atom=11.925 sg="No. 62" e_form_mev_per_atom=-562 pbc="T T T"
Zn 0.778 7.422 1.750
Ag 0.778 5.544 4.267
O 0.778 4.627 2.449
O 0.778 2.655 7.797
O 2.333 2.217 2.290
Ag 2.333 4.048 1.181
Zn 2.333 7.194 7.257
O 2.333 8.495 0.791
Ag 0.778 5.697 9.833
Ag 2.333 4.200 6.747
O 2.333 0.245 7.956
O 0.778 1.249 10.223
Ag 0.778 0.672 1.240
O 0.778 6.121 6.298
O 2.333 5.117 8.565
O 2.333 1.153 5.143
O 2.333 3.623 4.716
O 0.778 7.527 8.724
Ag 2.333 8.920 4.326
O 0.778 8.591 5.871
O 0.778 3.719 10.650
Zn 0.778 2.550 3.757
O 2.333 7.089 3.217
Ag 0.778 0.824 6.688
O 0.778 9.499 3.058
O 2.333 6.025 0.364
Zn 2.333 2.322 9.264
Ag 2.333 9.073 9.774

***

(3)
14
Lattice="-2.717 5.370 1.883 -4.537 2.511 -3.588 -5.950 -0.192 2.079" Properties=species:S:1:pos:R:3 comment="PBE ZnAg2O4, optimized geometry" density_g_cm3=6.27 vol_a3_per_atom=13.053 sg="No. 160" e_form_mev_per_atom=-646 pbc="T T T"
O -9.342 5.501 1.987
O -7.107 4.081 -1.426
Zn -8.271 4.816 0.235
O -6.310 5.333 0.970
Ag -6.900 2.113 -0.713
Zn -0.106 0.062 0.003
Ag -5.274 4.910 -0.811
Ag -5.985 3.551 2.040
Ag -3.218 1.874 0.091
O -8.688 6.753 -0.638
O -11.606 6.758 0.329
O -10.185 4.177 -0.547
O -5.016 2.921 0.142
O -7.726 2.897 1.056

***

(4)
42
Lattice="3.203 -5.548 0.000 3.203 5.548 0.000 0.000 0.000 15.362" Properties=species:S:1:pos:R:3 comment="PBE ZnAg2O4, optimized geometry" density_g_cm3=6.30 vol_a3_per_atom=13.002 sg="No. 156" e_form_mev_per_atom=-635 pbc="T T T"
O 3.203 1.849 13.980
Ag 3.203 1.849 0.696
Zn 0.000 0.000 14.617
O 3.203 1.849 6.420
O 4.600 -2.656 1.395
O 3.203 0.113 8.985
Zn 3.203 -1.849 9.519
Ag 3.203 -0.009 12.799
O 0.000 0.000 8.765
O 3.203 3.464 11.648
O 1.555 -0.898 6.469
Ag 1.618 -0.934 2.555
O 1.805 1.042 11.648
Ag 3.203 -3.680 2.555
Ag 0.000 0.000 10.904
O 3.203 -1.849 3.891
O 4.683 -0.995 14.022
Ag 4.789 -0.934 2.555
O 4.881 0.881 3.712
Zn 3.203 -1.849 5.832
O 4.707 2.717 8.985
Zn 3.203 -1.849 15.332
O 1.525 0.881 3.712
O 1.700 2.717 8.985
Ag 0.000 0.000 5.137
Ag 1.629 0.940 7.686
Ag 4.778 0.940 7.686
O 3.203 -1.849 11.521
Ag 1.610 -2.770 12.799
Ag 3.203 3.668 7.686
Zn 3.203 1.849 10.223
O 0.000 0.000 1.224
O 3.203 -3.752 6.469
O 4.851 -0.898 6.469
O 3.203 -3.557 14.022
O 1.807 -2.656 1.395
O 1.724 -0.995 14.022
O 4.602 1.042 11.648
O 3.203 -0.237 1.395
Zn 3.203 1.849 4.405
Ag 4.797 -2.770 12.799
O 3.203 3.787 3.712

***

(5)
14
Lattice="3.570 -5.599 4.518 1.564 0.091 6.377 -2.550 -5.360 2.151" Properties=species:S:1:pos:R:3 comment="PBE ZnAg2O4, optimized geometry" density_g_cm3=5.85 vol_a3_per_atom=13.985 sg="No. 70" e_form_mev_per_atom=-693 pbc="T T T"
O 3.038 -6.282 6.888
Zn 1.292 -5.434 6.523
O 2.013 -8.878 11.619
O 1.443 -4.622 8.317
O -0.530 -6.125 6.198
O 0.191 -7.302 9.419
O 3.759 -7.460 10.108
O 1.786 -8.963 7.990
Ag -1.527 -5.380 3.315
O 1.216 -4.706 4.688
Ag -0.378 -2.697 2.097
Ag 1.669 -2.737 4.426
Zn 1.937 -8.151 9.784
Ag 4.110 -5.488 9.730

***

(6)
14
Lattice="-2.943 2.943 5.699 2.943 -2.943 5.699 2.943 2.943 -5.699" Properties=species:S:1:pos:R:3 comment="PBE ZnAg2O4, optimized geometry" density_g_cm3=5.81 vol_a3_per_atom=14.100 sg="No. 141" e_form_mev_per_atom=-713 pbc="T T T"
Ag 0.000 4.414 1.425
O 2.943 1.530 4.130
O 1.413 0.000 1.568
Ag 0.000 1.471 1.425
Ag -1.471 2.943 4.274
O 0.000 1.530 4.418
Zn 0.000 0.000 5.699
O 4.473 0.000 1.568
O 2.943 -1.530 4.130
Ag 1.471 2.943 4.274
Zn 2.943 0.000 2.849
O 1.413 2.943 1.281
O 2.943 1.413 -1.281
O 1.530 0.000 6.980

***

(7)
14
Lattice="3.133 -0.585 0.688 0.105 8.067 0.812 -0.002 0.446 7.859" Properties=species:S:1:pos:R:3 comment="PBE ZnAg2O4, optimized geometry" density_g_cm3=5.79 vol_a3_per_atom=14.142 sg="No. 2" e_form_mev_per_atom=-633 pbc="T T T"
Ag 0.291 4.260 2.053
O 1.048 7.651 6.426
O 2.193 0.113 3.177
O 1.811 2.100 6.723
O 0.544 2.871 3.539
O 1.431 5.666 2.877
O 0.438 5.705 8.077
Ag 2.112 1.211 4.985
O 2.803 2.059 1.526
O 2.698 4.892 6.063
Zn 2.275 6.377 7.583
Ag 1.129 6.553 4.616
Zn 0.966 1.387 2.019
Ag 2.951 3.505 7.550

***

(8)
56
Lattice="2.926 -0.814 5.535 5.315 3.244 1.046 -8.633 16.239 10.086" Properties=species:S:1:pos:R:3 comment="PBE ZnAg2O4, optimized geometry" density_g_cm3=6.28 vol_a3_per_atom=13.032 sg="No. 8" e_form_mev_per_atom=-646 pbc="T T T"
Zn 4.014 5.900 7.469
Ag -1.093 8.466 7.071
Ag 1.312 6.594 9.019
Zn -1.287 17.808 15.413
Ag 0.791 5.550 5.438
Ag -4.387 12.764 9.204
O 4.435 3.302 3.309
Zn -4.335 10.417 7.110
Zn -1.215 13.172 11.260
O -2.361 16.889 14.010
Ag 4.114 1.220 3.292
Ag -1.812 16.739 11.823
O 2.004 1.919 2.801
O -1.053 9.343 10.583
O 1.921 13.244 12.994
Ag -2.897 10.030 9.917
Zn 3.972 8.217 9.541
O -2.247 5.377 3.665
O 1.976 6.549 6.972
O 3.404 1.550 5.247
O 0.676 9.294 6.043
O 6.124 3.035 6.002
Ag 0.637 14.866 13.777
Ag -0.980 3.787 2.902
O -4.942 15.335 13.395
O 1.947 8.620 8.827
O -3.847 17.196 11.335
O 4.706 5.529 5.517
Zn 4.051 3.580 5.391
O -0.977 4.718 6.459
O 0.472 13.904 10.309
Ag 2.508 8.626 6.772
O 0.398 7.054 3.874
O -4.069 14.840 9.202
O 1.904 11.122 11.066
Zn -4.458 15.123 11.298
O 0.314 11.665 8.014
Ag 0.695 10.210 9.598
O -2.446 14.671 11.960
Ag 2.600 3.977 2.579
O 6.058 5.233 7.954
Zn 3.924 10.529 11.606
O -6.452 13.379 8.661
O 3.701 3.821 7.407
O -0.800 11.743 12.700
O -2.277 12.239 9.851
Ag 1.384 1.912 4.864
Ag 0.931 0.879 1.290
O 2.039 3.962 4.666
Ag -1.685 12.089 7.639
O -5.106 13.077 11.152
Ag -2.999 14.722 14.055
O -6.449 15.490 10.571
O -2.403 10.119 7.868
O -0.701 6.955 8.631
O -2.278 7.461 5.532

***

(9)
18
Lattice="3.677 0.000 0.000 0.000 6.333 0.000 0.000 0.000 10.933" Properties=species:S:1:pos:R:3 comment="PBE Zn2Ag2O5, optimized geometry" density_g_cm3=5.56 vol_a3_per_atom=14.145 sg="No. 26" e_form_mev_per_atom=-497 pbc="T T T"
O 0.000 6.014 7.881
O 0.000 4.648 0.928
Ag 0.000 5.366 9.878
Zn 1.839 4.080 7.452
O 1.839 0.959 1.513
Zn 1.839 5.230 1.547
Zn 1.839 0.914 3.481
O 1.839 2.143 7.323
O 1.839 4.126 9.420
O 0.000 2.847 3.052
Ag 0.000 1.518 6.410
Ag 0.000 4.685 4.523
O 0.000 4.847 6.988
O 1.839 5.309 3.610
O 0.000 1.681 3.945
Ag 0.000 2.199 1.055
O 0.000 1.482 10.005
Zn 1.839 2.063 9.386

***

(10)
14
Lattice="0.000 4.505 4.505 4.505 0.000 4.505 4.505 4.505 0.000" Properties=species:S:1:pos:R:3 comment="PBE ZnAg2O4, optimized geometry" density_g_cm3=6.27 vol_a3_per_atom=13.063 sg="No. 227" e_form_mev_per_atom=-611 pbc="T T T"
O 5.664 3.347 5.664
O 5.599 5.599 7.916
O 7.916 5.599 5.599
Ag 3.379 3.379 1.126
O 3.347 3.347 3.347
O 3.347 5.664 5.664
Ag 1.126 1.126 1.126
O 5.599 7.916 5.599
Ag 1.126 3.379 3.379
Zn 6.758 6.758 6.758
O 5.664 5.664 3.347
Ag 3.379 1.126 3.379
O 7.916 7.916 7.916
Zn 4.505 4.505 4.505

***

(11)
28
Lattice="3.186 0.000 0.000 0.000 9.898 0.000 0.000 0.000 10.817" Properties=species:S:1:pos:R:3 comment="PBE ZnAg2O4, optimized geometry" density_g_cm3=6.72 vol_a3_per_atom=12.185 sg="No. 57" e_form_mev_per_atom=-677 pbc="T T T"
Zn 2.183 7.424 1.635
Ag 0.563 0.699 1.249
Ag 2.623 9.199 9.568
O 2.787 1.226 10.292
Zn 1.003 7.424 7.044
O 0.399 1.226 4.884
Zn 1.003 2.475 9.182
O 2.787 6.175 5.934
O 2.558 2.475 7.738
Ag 2.623 5.648 9.568
O 2.787 8.672 5.934
O 0.399 6.175 0.525
O 0.399 8.672 0.525
Ag 0.563 4.250 1.249
O 2.558 7.424 8.488
Ag 2.623 4.250 6.658
O 0.629 2.475 2.329
Ag 0.563 5.648 4.159
O 2.787 3.723 10.292
Ag 0.563 9.199 4.159
O 1.740 0.000 2.704
Ag 2.623 0.699 6.658
O 0.629 7.424 3.080
O 0.399 3.723 4.884
O 1.447 4.949 8.113
Zn 2.183 2.475 3.773
O 1.740 4.949 2.704
O 1.447 0.000 8.113

***

(12)
42
Lattice="-2.040 5.797 -1.761 -3.565 -3.594 3.904 7.135 6.232 12.253" Properties=species:S:1:pos:R:3 comment="PBE ZnAg2O4, optimized geometry" density_g_cm3=6.27 vol_a3_per_atom=13.051 sg="No. 156" e_form_mev_per_atom=-623 pbc="T T T"
Ag 2.209 6.822 8.297
Ag -2.249 2.928 0.641
O 2.579 5.845 10.271
O 5.380 4.699 9.239
Ag -2.127 -1.007 5.006
Zn 2.009 3.962 10.716
Ag 3.656 9.450 9.382
O 1.794 1.567 3.080
O -2.467 0.052 3.029
O -0.467 1.728 1.164
O -0.106 -0.220 4.934
O 1.084 3.153 9.127
O -3.625 2.969 2.372
O 1.416 2.372 6.169
Zn -0.487 4.467 3.667
O -1.079 2.545 4.095
Zn 2.691 2.351 4.621
Ag 1.785 1.320 8.080
O 3.893 8.293 11.189
O -0.315 0.627 8.065
Zn 3.751 5.484 13.708
O 2.139 6.668 13.326
O -1.617 4.994 0.172
O 1.591 8.653 9.418
Ag -1.017 2.422 9.152
Ag -3.157 1.919 4.118
O 0.112 6.066 8.238
Ag -0.328 0.807 3.036
O -2.780 0.831 5.957
O 3.220 3.596 14.259
Ag -0.674 1.618 6.109
O 5.110 5.501 12.190
O 1.850 7.818 6.335
O 2.844 4.992 7.193
Zn 4.450 3.887 7.643
O 0.439 5.276 5.258
O 4.306 7.585 8.380
O -1.306 3.442 7.210
Zn 7.120 6.220 12.228
Ag 4.692 6.508 10.275
Ag 1.847 7.626 11.363
Ag 0.766 4.218 7.200

***

(13)
14
Lattice="-3.230 3.381 4.114 3.230 -3.381 4.114 3.230 3.381 -4.114" Properties=species:S:1:pos:R:3 comment="PBE ZnAg2O4, optimized geometry" density_g_cm3=6.38 vol_a3_per_atom=12.837 sg="No. 74" e_form_mev_per_atom=-647 pbc="T T T"
Ag 3.230 1.691 2.870
Ag 0.000 0.000 4.114
Ag 0.000 1.691 1.243
O 3.230 3.046 -2.057
Zn 1.615 1.691 -2.057
O -1.354 1.691 4.030
O 0.000 3.716 2.056
Ag 3.230 0.000 0.000
O 1.877 1.691 0.083
O 3.230 -0.335 2.057
Zn 1.615 -1.691 2.057
O 1.354 1.691 4.030
O 0.000 0.335 6.171
O 4.584 1.691 0.083